U3P2Pb2O21 | PBE-GGA | optimized geometry

Structure (POSCAR):
```
U3P2Pb2O21
1.0
6.9899 0.0000 0.0000
0.0000 16.7150 0.0000
-2.3425 0.0000 7.7452
U P Pb O
6 4 4 42
direct
0.7008 0.7500 0.4018
0.2992 0.2500 0.5982
0.2011 0.6397 0.4066
0.7989 0.1397 0.5934
0.7989 0.3603 0.5934
0.2011 0.8603 0.4066
0.6879 0.5532 0.3734
0.3121 0.0532 0.6266
0.3121 0.4468 0.6266
0.6879 0.9468 0.3734
0.3454 0.6060 0.9259
0.6546 0.1060 0.0741
0.6546 0.3940 0.0741
0.3454 0.8940 0.9259
0.5757 0.7500 0.1612
0.4243 0.2500 0.8388
0.8154 0.7500 0.6308
0.1846 0.2500 0.3692
0.1760 0.6294 0.1712
0.8240 0.1294 0.8288
0.8240 0.3706 0.8288
0.1760 0.8706 0.1712
0.2367 0.6505 0.6448
0.7633 0.1505 0.3552
0.7633 0.3495 0.3552
0.2367 0.8495 0.6448
0.5469 0.6157 0.4206
0.4531 0.1157 0.5794
0.4531 0.3843 0.5794
0.5469 0.8843 0.4206
0.8642 0.6075 0.3620
0.1358 0.1075 0.6380
0.1358 0.3925 0.6380
0.8642 0.8925 0.3620
0.7577 0.4911 0.5186
0.2423 0.9911 0.4814
0.2423 0.5089 0.4814
0.7577 0.0089 0.5186
0.5789 0.5139 0.1969
0.4211 0.0139 0.8031
0.4211 0.4861 0.8031
0.5789 0.9861 0.1969
0.0087 0.7500 0.3672
0.9913 0.2500 0.6328
0.3885 0.7500 0.4249
0.6115 0.2500 0.5751
0.6257 0.6514 0.9572
0.3743 0.1514 0.0428
0.3743 0.3486 0.0428
0.6257 0.8486 0.9572
0.0711 0.5627 0.9150
0.9289 0.0627 0.0850
0.9289 0.4373 0.0850
0.0711 0.9373 0.9150
0.2983 0.7500 0.9503
0.7017 0.2500 0.0497
```

formation enthalpy at 0 K	-2.231	eV/atom
SG	No. 11
DFT total energy	-0.2678	Ha/atom
corrected total energy (MP2020 scheme)	-218.5	eV per formula unit
theoretical density	5.6	g/cm3

DyCo4B4 | PBE-GGA | optimized geometry

Structure (POSCAR):
```
DyCo4B4
1.0
5.0019 0.0000 0.0000
0.0000 5.0019 0.0000
0.0000 0.0000 6.9804
Dy Co B
2 8 8
direct
0.7500 0.2500 0.2500
0.2500 0.7500 0.7500
0.0041 0.7500 0.1123
0.4959 0.7500 0.1123
0.7500 0.0041 0.6123
0.7500 0.4959 0.6123
0.9959 0.2500 0.8877
0.5041 0.2500 0.8877
0.2500 0.9959 0.3877
0.2500 0.5041 0.3877
0.5754 0.7500 0.4073
0.9246 0.7500 0.4073
0.7500 0.5754 0.9073
0.7500 0.9246 0.9073
0.4246 0.2500 0.5927
0.0754 0.2500 0.5927
0.2500 0.4246 0.0927
0.2500 0.0754 0.0927
```

formation enthalpy at 0 K	-0.505	eV/atom
SG	No. 137
DFT total energy	-0.2626	Ha/atom
theoretical density	8.4	g/cm3

CaB2H2 | PBE-GGA | optimized geometry

Structure (POSCAR):
```
CaB2H2
1.0
17.1696 0.0000 0.0000
0.0000 3.2727 0.0000
0.0000 0.0000 3.5328
Ca B H
4 8 8
direct
0.6137 0.2500 0.4216
0.1137 0.2500 0.0784
0.3863 0.7500 0.5784
0.8863 0.7500 0.9216
0.4893 0.2500 0.9400
0.9893 0.2500 0.5600
0.5107 0.7500 0.0600
0.0107 0.7500 0.4400
0.2577 0.2500 0.3727
0.7577 0.2500 0.1273
0.7423 0.7500 0.6273
0.2423 0.7500 0.8727
0.8283 0.2500 0.1978
0.3283 0.2500 0.3022
0.1717 0.7500 0.8022
0.6717 0.7500 0.6978
0.4634 0.2500 0.6173
0.9634 0.2500 0.8827
0.5366 0.7500 0.3827
0.0366 0.7500 0.1173
```

formation enthalpy at 0 K	0.080	eV/atom
E above lowest polymorph	397	meV/atom
SG	No. 62
DFT total energy	-0.1572	Ha/atom
corrected total energy (MP2020 scheme)	-21.8	eV per formula unit
theoretical density	2.1	g/cm3

CsBO6 | PBE-GGA | optimized geometry

Structure (POSCAR):
```
CsBO6
1.0
2.0730 -5.2265 -0.1746
-3.0669 -1.5271 4.4616
-2.4289 2.2959 -4.5247
Cs B O
1 1 6
direct
0.0000 0.0000 0.0000
0.5000 0.5000 0.0000
0.7500 0.2500 0.5000
0.2500 0.7500 0.5000
0.2418 0.2418 0.7187
0.5231 0.5231 0.2813
0.4769 0.7582 0.0000
0.7582 0.4769 0.0000
```

formation enthalpy at 0 K	-0.501	eV/atom
SG	No. 121
DFT total energy	-0.1707	Ha/atom
corrected total energy (MP2020 scheme)	-41.3	eV per formula unit
theoretical density	3.2	g/cm3

Sm5Si4 | PBE-GGA | optimized geometry

Structure (POSCAR):
```
Sm5Si4
1.0
7.6561 0.0000 0.0000
0.0000 7.8673 0.0000
0.0000 0.0000 14.9650
Sm Si
20 16
direct
0.8570 0.4869 0.7500
0.3134 0.1808 0.1221
0.1430 0.5131 0.2500
0.8134 0.3192 0.3779
0.4636 0.6864 0.3995
0.6866 0.8192 0.8779
0.5364 0.3136 0.8995
0.9636 0.8136 0.1005
0.6430 0.9869 0.2500
0.3570 0.0131 0.7500
0.5364 0.3136 0.6005
0.0364 0.1864 0.8995
0.9636 0.8136 0.3995
0.1866 0.6808 0.8779
0.6866 0.8192 0.6221
0.3134 0.1808 0.3779
0.4636 0.6864 0.1005
0.0364 0.1864 0.6005
0.1866 0.6808 0.6221
0.8134 0.3192 0.1221
0.5185 0.3996 0.2500
0.1382 0.4731 0.0404
0.6382 0.0269 0.0404
0.2561 0.8773 0.2500
0.2439 0.3773 0.7500
0.8618 0.5269 0.9596
0.7439 0.1227 0.7500
0.4815 0.6004 0.7500
0.3618 0.9731 0.9596
0.9815 0.8996 0.7500
0.8618 0.5269 0.5404
0.3618 0.9731 0.5404
0.7561 0.6227 0.2500
0.1382 0.4731 0.4596
0.0185 0.1004 0.2500
0.6382 0.0269 0.4596
```

formation enthalpy at 0 K	-0.674	eV/atom
SG	No. 62
DFT total energy	-0.2109	Ha/atom
corrected total energy (MP2020 scheme)	-51.4	eV per formula unit
theoretical density	6.4	g/cm3

Cu7S4N | PBE-GGA | optimized geometry

Structure (POSCAR):
```
Cu7S4N
1.0
3.7799 0.0000 0.0000
1.8352 7.1679 0.0000
1.8806 0.2637 7.1954
Cu S N
7 4 1
direct
0.2228 0.1684 0.8725
0.2523 0.8315 0.1259
0.6412 0.1210 0.1507
0.9000 0.8972 0.8543
0.9367 0.5794 0.0118
0.0644 0.0761 0.4028
0.5385 0.9144 0.6079
0.4832 0.6804 0.8458
0.0475 0.3014 0.1530
0.8052 0.1742 0.6901
0.6576 0.8324 0.3116
0.2485 0.4995 0.5016
```

formation enthalpy at 0 K	0.285	eV/atom
SG	No. 1
DFT total energy	-0.1463	Ha/atom
corrected total energy (MP2020 scheme)	-50.2	eV per formula unit
theoretical density	5.0	g/cm3